1) First-principles (GGA-PBE) data for an optimized crystal structure of HfCrCuS4, as listed in the Materials Project database.

extended XYZ file:
```
14
Lattice="-2.593 2.138 -1.214 -3.453 -4.824 -1.122 -4.551 0.588 10.750" Properties=species:S:1:pos:R:3 pbc="T T T"
Hf -6.454 -0.969 6.816
Hf -4.142 -1.128 1.598
Cr -1.151 0.080 2.598
Cr -6.853 -4.315 7.030
Cu -3.023 -1.343 -1.168
Cu -2.275 0.294 5.375
S -2.427 0.357 0.552
S -8.170 -2.454 7.862
S -5.158 -2.907 5.891
S -2.846 -1.328 3.737
S -2.920 -3.181 0.632
S -5.084 -1.054 8.997
S -4.705 0.739 6.087
S -5.891 -2.836 2.327
```

Computed properties:
The volume is 18.011 Å³/atom.

2) First-principles (GGA-PBE) data for an optimized crystal structure of HfCrCuS4, as listed in the Materials Project database.

extended XYZ file:
```
28
Lattice="-3.631 -4.854 -0.014 2.669 -1.991 6.214 -8.804 6.604 5.717" Properties=species:S:1:pos:R:3 pbc="T T T"
Hf -5.211 3.862 7.474
Hf -3.348 -1.274 2.980
Hf -2.014 -2.267 6.082
Hf -7.826 2.058 5.738
Cr -3.110 -5.196 7.602
Cr -10.270 0.135 4.316
Cr -0.909 0.668 4.557
Cr -6.415 1.032 8.941
Cu -7.442 2.851 11.919
Cu -5.317 -0.833 5.928
Cu -1.854 1.167 9.045
Cu -10.939 0.901 8.806
S -5.619 -2.192 3.664
S -6.538 -1.317 8.358
S 0.262 -1.316 5.410
S -7.575 4.481 6.510
S -1.084 -0.321 2.310
S -6.241 3.318 9.728
S -4.304 -3.179 6.743
S -8.006 -0.401 5.100
S -0.903 -4.360 6.940
S -7.419 0.506 11.046
S -3.094 -0.161 5.219
S -5.518 1.448 6.759
S -4.343 0.878 2.088
S -4.140 0.732 9.774
S -2.341 -3.421 3.859
S -8.676 1.447 8.090
```

Computed properties:
The volume is 18.924 Å³/atom.

3) First-principles (GGA-PBE) data for an optimized crystal structure of HfCrCuS4, as listed in the Materials Project database.

extended XYZ file:
```
28
Lattice="6.993 0.000 0.000 0.000 7.607 0.000 0.000 0.000 10.262" Properties=species:S:1:pos:R:3 pbc="T T T"
Hf 1.748 0.672 0.097
Hf 5.245 6.935 10.165
Hf 5.245 3.131 5.228
Hf 1.748 4.476 5.034
Cr 5.245 7.527 2.985
Cr 1.748 0.081 7.278
Cr 1.748 3.884 8.116
Cr 5.245 3.723 2.146
Cu 1.748 1.385 4.065
Cu 5.245 6.222 6.197
Cu 5.245 2.418 9.196
Cu 1.748 5.189 1.066
S 3.675 0.756 8.650
S 3.319 6.851 1.612
S 3.319 3.047 3.519
S 3.675 4.560 6.743
S 6.815 4.560 6.743
S 0.178 3.047 3.519
S 0.178 6.851 1.612
S 6.815 0.756 8.650
S 1.748 6.919 4.987
S 5.245 0.688 5.275
S 5.245 4.492 10.118
S 1.748 3.115 0.144
S 5.245 1.592 1.367
S 1.748 6.015 8.895
S 1.748 2.211 6.498
S 5.245 5.396 3.764
```

Computed properties:
The volume is 19.497 Å³/atom.

Which is the most stable structure? 1) is the most stable.

1) First-principles (GGA-PBE) data for an optimized crystal structure of MnCr8Cu3S16, as listed in the Materials Project database.

extended XYZ file:
```
28
Lattice="7.008 0.000 0.000 0.000 7.008 0.000 0.000 0.000 9.911" Properties=species:S:1:pos:R:3 pbc="T T T"
Mn 3.504 3.504 4.956
Cr 5.300 0.000 6.198
Cr 1.752 3.504 1.202
Cr 1.709 0.000 6.198
Cr 5.256 3.504 1.202
Cr 0.000 1.709 3.713
Cr 3.504 5.256 8.709
Cr 3.504 1.752 8.709
Cr 0.000 5.300 3.713
Cu 0.000 0.000 0.000
Cu 3.504 0.000 2.475
Cu 0.000 3.504 7.436
S 5.389 3.504 3.618
S 1.865 0.000 8.590
S 1.619 3.504 3.618
S 5.143 0.000 8.590
S 3.504 1.619 6.294
S 0.000 5.143 1.321
S 3.504 5.389 6.294
S 0.000 1.865 1.321
S 1.640 0.000 3.796
S 5.147 3.504 8.755
S 5.368 0.000 3.796
S 1.861 3.504 8.755
S 3.504 1.861 1.157
S 0.000 5.368 6.115
S 3.504 5.147 1.157
S 0.000 1.640 6.115
```

Computed properties:
The volume is 17.386 Å³/atom.

2) First-principles (GGA-PBE) data for an optimized crystal structure of MnCr8Cu3S16, as listed in the Materials Project database.

extended XYZ file:
```
28
Lattice="11.606 -3.512 0.000 11.606 3.512 0.000 10.543 0.000 5.989" Properties=species:S:1:pos:R:3 pbc="T T T"
Mn 2.109 0.000 0.374
Cr 25.377 0.000 4.503
Cr 8.425 0.000 1.495
Cr 11.042 1.732 2.975
Cr 27.973 1.738 5.982
Cr 11.042 -1.732 2.975
Cr 27.973 -1.738 5.982
Cr 11.566 0.000 0.021
Cr 28.499 0.000 3.019
Cu 18.984 0.000 3.368
Cu 14.770 0.000 2.621
Cu 31.647 0.000 5.615
S 4.384 0.000 0.778
S 21.241 0.000 3.769
S 23.693 1.618 5.153
S 18.424 -1.870 2.172
S 23.693 -1.618 5.153
S 18.424 1.870 2.172
S 24.182 0.000 2.393
S 17.858 0.000 5.362
S 12.515 0.000 2.221
S 29.403 0.000 5.217
S 15.334 1.868 3.816
S 10.051 -1.643 0.820
S 15.334 -1.868 3.816
S 10.051 1.643 0.820
S 15.899 0.000 0.630
S 9.554 0.000 3.622
```

Computed properties:
The volume is 17.436 Å³/atom.

Which is the most stable structure? 2) is the most stable.